Entry 1:
The following is a PBE+U calculation of a relaxed structure of CaCo2P2O8, from the Materials Project database.

ΔH_f (0 K): -3165 kJ/mol of formula units
Calculated density: 3.57 g/cm3

abc: 9.004 9.004 16.932
angles: 62.47 62.47 32.51
Sites, in units of the cell vectors:
O1 0.050 0.393 0.214
O2 0.632 0.130 0.355
O3 0.813 0.349 0.930
O4 0.335 0.562 0.194
O5 0.665 0.438 0.806
Co1 0.610 0.205 0.458
P1 0.948 0.482 0.132
O6 0.207 0.633 0.460
O7 0.805 0.696 0.604
O8 0.870 0.368 0.145
O9 0.349 0.813 0.430
O10 0.793 0.367 0.540
O11 0.196 0.354 0.051
Co2 0.366 0.634 0.750
Co3 0.205 0.610 0.958
O12 0.562 0.335 0.694
O13 0.607 0.950 0.286
O14 0.393 0.050 0.714
O15 0.070 0.884 0.629
O16 0.130 0.632 0.855
O17 0.438 0.665 0.306
Ca1 0.479 0.832 0.860
O18 0.646 0.804 0.449
O19 0.368 0.870 0.645
Ca2 0.832 0.479 0.360
Co4 0.795 0.390 0.042
O20 0.187 0.651 0.070
Ca3 0.168 0.521 0.640
O21 0.116 0.930 0.871
P2 0.806 0.228 0.891
Co5 0.500 0.000 0.000
P3 0.052 0.518 0.868
Co6 0.634 0.366 0.250
O22 0.930 0.116 0.371
O23 0.804 0.646 0.949
P4 0.228 0.806 0.391
O24 0.195 0.304 0.396
O25 0.884 0.070 0.129
P5 0.194 0.772 0.109
Ca4 0.521 0.168 0.140
O26 0.354 0.196 0.551
O27 0.367 0.793 0.040
P6 0.518 0.052 0.368
O28 0.651 0.187 0.570
P7 0.772 0.194 0.609
O29 0.696 0.805 0.104
Co7 0.390 0.795 0.542
O30 0.950 0.607 0.786
Co8 0.000 0.500 0.500
P8 0.482 0.948 0.632
O31 0.304 0.195 0.896
O32 0.633 0.207 0.960

Entry 2:
The following is a PBE+U calculation of a relaxed structure of CaCoP2O7, from the Materials Project database.

Energy above the most stable polymorph in this dataset: 9 meV per atom
ΔH_f (0 K): -2886 kJ/mol of formula units
Calculated density: 3.46 g/cm3

abc: 6.519 6.591 6.718
angles: 113.72 87.24 97.45
Sites, in units of the cell vectors:
Co1 0.352 0.099 0.224
O1 0.777 0.389 0.480
O2 0.974 0.899 0.720
P1 0.627 0.357 0.668
O3 0.329 0.949 0.867
P2 0.143 0.772 0.751
P3 0.857 0.228 0.249
O4 0.026 0.101 0.280
O5 0.375 0.402 0.162
Ca1 0.857 0.729 0.174
O6 0.932 0.384 0.138
O7 0.273 0.794 0.254
O8 0.412 0.254 0.563
O9 0.671 0.051 0.133
Ca2 0.143 0.271 0.826
O10 0.727 0.206 0.746
Co2 0.648 0.901 0.776
O11 0.223 0.611 0.520
P4 0.373 0.643 0.332
O12 0.588 0.746 0.437
O13 0.068 0.616 0.862
O14 0.625 0.598 0.838

Entry 3:
The following is a PBE+U calculation of a relaxed structure of CaCoP2O7, from the Materials Project database.

Energy above the most stable polymorph in this dataset: 0 meV per atom
ΔH_f (0 K): -2895 kJ/mol of formula units
Calculated density: 3.36 g/cm3

abc: 6.350 6.586 7.012
angles: 83.80 90.18 67.82
Sites, in units of the cell vectors:
Ca1 0.704 0.266 0.382
O1 0.882 0.844 0.526
P1 0.164 0.659 0.123
O2 0.118 0.156 0.474
O3 0.648 0.618 0.448
O4 0.328 0.417 0.144
Co1 0.244 0.134 0.194
Co2 0.756 0.866 0.806
Ca2 0.296 0.734 0.618
P2 0.755 0.778 0.370
O5 0.413 0.006 0.741
O6 0.915 0.248 0.089
O7 0.672 0.583 0.856
O8 0.933 0.650 0.222
P3 0.836 0.341 0.877
O9 0.587 0.994 0.259
O10 0.067 0.350 0.778
O11 0.761 0.190 0.769
O12 0.239 0.810 0.231
O13 0.085 0.752 0.911
O14 0.352 0.382 0.552
P4 0.245 0.222 0.630

Entry 4:
The following is a PBE+U calculation of a relaxed structure of CaTiCoP3O12, from the Materials Project database.

ΔH_f (0 K): -4807 kJ/mol of formula units
Calculated density: 3.06 g/cm3

abc: 8.805 8.805 8.805
angles: 58.68 58.68 58.68
Sites, in units of the cell vectors:
O1 0.438 0.582 0.226
O2 0.274 0.921 0.055
Co1 0.852 0.852 0.852
O3 0.206 0.999 0.371
Ti1 0.646 0.646 0.646
P1 0.962 0.540 0.250
O4 0.295 0.123 0.511
O5 0.511 0.295 0.123
Ti2 0.146 0.146 0.146
P2 0.540 0.250 0.962
O6 0.871 0.499 0.706
O7 0.921 0.055 0.274
O8 0.499 0.706 0.871
O9 0.623 0.795 0.011
O10 0.774 0.555 0.421
P3 0.040 0.462 0.750
O11 0.726 0.082 0.938
O12 0.421 0.774 0.555
O13 0.938 0.726 0.082
O14 0.123 0.511 0.295
O15 0.706 0.871 0.499
O16 0.555 0.421 0.774
Ca1 0.497 0.497 0.497
O17 0.371 0.206 0.999
O18 0.011 0.623 0.795
Co2 0.352 0.352 0.352
O19 0.082 0.938 0.726
O20 0.055 0.274 0.921
O21 0.999 0.371 0.206
P4 0.750 0.040 0.462
P5 0.462 0.750 0.040
O22 0.795 0.011 0.623
O23 0.226 0.438 0.582
Ca2 0.997 0.997 0.997
O24 0.582 0.226 0.438
P6 0.250 0.962 0.540